(1)
DFT (PBE-GGA) results for a relaxed LuTc2 crystal.

Lattice parameters (Å, degrees): 5.3285 5.3285 8.8117 90.00 90.00 120.00
Last column: nearest neighbours and their distance in Å.
Element x y z (fractional)
Lu1 0.3333 0.6667 0.0637  12 Tc 3.13-3.14, 4 Lu 3.27-3.28
Lu2 0.3333 0.6667 0.4363  12 Tc 3.13-3.14, 4 Lu 3.27-3.28
Lu3 0.6667 0.3333 0.5637  12 Tc 3.13-3.14, 4 Lu 3.27-3.28
Lu4 0.6667 0.3333 0.9363  12 Tc 3.13-3.14, 4 Lu 3.27-3.28
Tc1 0.0000 0.0000 0.0000  6 Tc 2.72
Tc2 0.0000 0.0000 0.5000  6 Tc 2.72
Tc3 0.1721 0.3442 0.7500  6 Tc 2.58-2.75
Tc4 0.1721 0.8279 0.7500  6 Tc 2.58-2.75
Tc5 0.3442 0.1721 0.2500  6 Tc 2.58-2.75
Tc6 0.6558 0.8279 0.7500  6 Tc 2.58-2.75
Tc7 0.8279 0.1721 0.2500  6 Tc 2.58-2.75
Tc8 0.8279 0.6558 0.2500  6 Tc 2.58-2.75

Output
As for the space group: P6_3/mmc.



(2)
DFT (PBE-GGA) results for a relaxed LuUTc2 crystal.

Lattice parameters (Å, degrees): 6.7305 6.7305 6.7305 90.00 90.00 90.00
Last column: nearest neighbours and their distance in Å.
Element x y z (fractional)
Lu1 0.0000 0.0000 0.0000  8 Tc 2.91
Lu2 0.0000 0.5000 0.5000  8 Tc 2.91
Lu3 0.5000 0.0000 0.5000  8 Tc 2.91
Lu4 0.5000 0.5000 0.0000  8 Tc 2.91
U1 0.0000 0.0000 0.5000  8 Tc 2.91
U2 0.0000 0.5000 0.0000  8 Tc 2.91
U3 0.5000 0.0000 0.0000  8 Tc 2.91
U4 0.5000 0.5000 0.5000  8 Tc 2.91
Tc1 0.2500 0.2500 0.2500  4 U 2.91, 4 Lu 2.91
Tc2 0.2500 0.2500 0.7500  4 Lu 2.91, 4 U 2.91
Tc3 0.2500 0.7500 0.2500  4 Lu 2.91, 4 U 2.91
Tc4 0.2500 0.7500 0.7500  4 U 2.91, 4 Lu 2.91
Tc5 0.7500 0.2500 0.2500  4 Lu 2.91, 4 U 2.91
Tc6 0.7500 0.2500 0.7500  4 U 2.91, 4 Lu 2.91
Tc7 0.7500 0.7500 0.2500  4 U 2.91, 4 Lu 2.91
Tc8 0.7500 0.7500 0.7500  4 Lu 2.91, 4 U 2.91

Output
As for the space group: Fm-3m.



(3)
DFT (PBE-GGA) results for a relaxed Lu2ZnTc crystal.

Lattice parameters (Å, degrees): 6.8347 6.8347 6.8347 90.00 90.00 90.00
Last column: nearest neighbours and their distance in Å.
Element x y z (fractional)
Lu1 0.2500 0.2500 0.2500  4 Tc 2.96, 4 Zn 2.96
Lu2 0.2500 0.2500 0.7500  4 Tc 2.96, 4 Zn 2.96
Lu3 0.2500 0.7500 0.2500  4 Tc 2.96, 4 Zn 2.96
Lu4 0.2500 0.7500 0.7500  4 Tc 2.96, 4 Zn 2.96
Lu5 0.7500 0.2500 0.2500  4 Tc 2.96, 4 Zn 2.96
Lu6 0.7500 0.2500 0.7500  4 Tc 2.96, 4 Zn 2.96
Lu7 0.7500 0.7500 0.2500  4 Tc 2.96, 4 Zn 2.96
Lu8 0.7500 0.7500 0.7500  4 Zn 2.96, 4 Tc 2.96
Zn1 0.0000 0.0000 0.0000  8 Lu 2.96
Zn2 0.0000 0.5000 0.5000  8 Lu 2.96
Zn3 0.5000 0.0000 0.5000  8 Lu 2.96
Zn4 0.5000 0.5000 0.0000  8 Lu 2.96
Tc1 0.0000 0.0000 0.5000  8 Lu 2.96
Tc2 0.0000 0.5000 0.0000  8 Lu 2.96
Tc3 0.5000 0.0000 0.0000  8 Lu 2.96
Tc4 0.5000 0.5000 0.5000  8 Lu 2.96

Output
As for the space group: Fm-3m.



no.,formation enthalpy at 0 K (meV/atom)
1,-278
2,-66
3,-223